Computed, not measured: crystalline Na14Y4In4Si7S5O48 at its relaxed geometry at the PBE-GGA level of DFT.

Cell: 9.389 16.242 22.710 Å, 89.61 89.88 89.95°
Atoms (fractional coordinates):
1 Na 0.000 0.000 0.000
2 Na 0.002 0.979 0.355
3 Na 0.022 0.658 0.659
4 Na 0.025 0.326 0.322
5 Na 0.127 0.818 0.814
6 Na 0.141 0.168 0.167
7 Na 0.154 0.128 0.488
8 Na 0.157 0.474 0.823
9 Na 0.161 0.501 0.524
10 Na 0.174 0.811 0.517
11 Na 0.188 0.475 0.167
12 Na 0.198 0.141 0.848
13 Na 0.314 0.311 0.252
14 Na 0.319 0.987 0.918
15 Na 0.321 0.316 0.749
16 Na 0.328 0.648 0.587
17 Na 0.335 0.641 0.080
18 Na 0.347 0.987 0.425
19 Na 0.459 0.474 0.673
20 Na 0.462 0.136 0.355
21 Na 0.474 0.804 0.007
22 Na 0.496 0.127 0.984
23 Na 0.501 0.477 0.349
24 Na 0.512 0.164 0.665
25 Na 0.529 0.829 0.316
26 Na 0.619 0.329 0.809
27 Na 0.639 0.661 0.166
28 Na 0.652 0.623 0.490
29 Na 0.655 0.974 0.843
30 Na 0.670 0.307 0.517
31 Na 0.689 0.971 0.172
32 Na 0.694 0.636 0.850
33 Na 0.802 0.485 0.919
34 Na 0.819 0.143 0.581
35 Na 0.824 0.811 0.252
36 Na 0.826 0.155 0.084
37 Na 0.828 0.483 0.421
38 Na 0.839 0.805 0.750
39 Na 0.958 0.636 0.354
40 Na 0.965 0.973 0.666
41 Na 0.977 0.316 0.008
42 Na 0.995 0.623 0.983
43 Y 0.324 0.977 0.768
44 Y 0.326 0.312 0.402
45 Y 0.326 0.642 0.436
46 Y 0.327 0.980 0.267
47 Y 0.329 0.317 0.901
48 Y 0.332 0.975 0.068
49 Y 0.824 0.142 0.935
50 Y 0.824 0.810 0.900
51 Y 0.824 0.817 0.401
52 Y 0.827 0.475 0.570
53 Y 0.827 0.478 0.267
54 Y 0.837 0.479 0.764
55 In 0.304 0.317 0.097
56 In 0.312 0.640 0.730
57 In 0.321 0.976 0.566
58 In 0.331 0.627 0.936
59 In 0.337 0.645 0.234
60 In 0.345 0.315 0.604
61 In 0.799 0.809 0.098
62 In 0.818 0.145 0.734
63 In 0.819 0.132 0.438
64 In 0.829 0.475 0.065
65 In 0.835 0.147 0.234
66 In 0.845 0.815 0.598
67 Si 0.030 0.645 0.836
68 Si 0.123 0.145 0.334
69 Si 0.141 0.475 0.668
70 Si 0.170 0.467 0.005
71 Si 0.175 0.161 0.003
72 Si 0.177 0.825 0.666
73 Si 0.180 0.496 0.326
74 Si 0.476 0.820 0.167
75 Si 0.479 0.159 0.506
76 Si 0.482 0.464 0.499
77 Si 0.483 0.500 0.827
78 Si 0.521 0.147 0.833
79 Si 0.632 0.648 0.333
80 Si 0.668 0.656 0.004
81 Si 0.674 0.964 0.003
82 Si 0.677 0.001 0.326
83 Si 0.681 0.319 0.667
84 Si 0.972 0.324 0.166
85 Si 0.974 0.995 0.830
86 Si 0.978 0.660 0.502
87 Si 0.982 0.968 0.503
88 S 0.015 0.975 0.167
89 S 0.027 0.310 0.499
90 S 0.118 0.811 0.004
91 S 0.170 0.128 0.665
92 S 0.174 0.794 0.333
93 S 0.470 0.789 0.837
94 S 0.479 0.136 0.165
95 S 0.523 0.474 0.168
96 S 0.529 0.815 0.502
97 S 0.621 0.313 0.004
98 S 0.629 0.973 0.668
99 S 0.676 0.638 0.666
100 S 0.679 0.291 0.335
101 S 0.977 0.295 0.836
102 S 0.979 0.632 0.164
103 O 0.000 0.162 0.002
104 O 0.005 0.484 0.328
105 O 0.012 0.131 0.668
106 O 0.016 0.802 0.054
107 O 0.016 0.802 0.334
108 O 0.017 0.136 0.391
109 O 0.032 0.484 0.612
110 O 0.036 0.155 0.271
111 O 0.038 0.816 0.947
112 O 0.053 0.476 0.730
113 O 0.103 0.313 0.441
114 O 0.104 0.980 0.221
115 O 0.109 0.974 0.114
116 O 0.124 0.659 0.776
117 O 0.130 0.300 0.548
118 O 0.130 0.643 0.895
119 O 0.135 0.305 0.834
120 O 0.136 0.635 0.166
121 O 0.149 0.984 0.831
122 O 0.152 0.315 0.169
123 O 0.154 0.658 0.503
124 O 0.160 0.970 0.499
125 O 0.197 0.892 0.007
126 O 0.206 0.079 0.612
127 O 0.212 0.878 0.725
128 O 0.213 0.743 0.282
129 O 0.219 0.557 0.380
130 O 0.220 0.409 0.951
131 O 0.220 0.743 0.005
132 O 0.222 0.061 0.334
133 O 0.222 0.208 0.064
134 O 0.222 0.428 0.069
135 O 0.226 0.562 0.004
136 O 0.228 0.226 0.336
137 O 0.228 0.759 0.389
138 O 0.231 0.064 0.004
139 O 0.232 0.087 0.718
140 O 0.232 0.872 0.607
141 O 0.233 0.212 0.663
142 O 0.233 0.539 0.264
143 O 0.236 0.879 0.328
144 O 0.242 0.392 0.666
145 O 0.242 0.731 0.666
146 O 0.246 0.557 0.662
147 O 0.247 0.204 0.945
148 O 0.254 0.405 0.330
149 O 0.398 0.411 0.834
150 O 0.403 0.199 0.447
151 O 0.408 0.417 0.555
152 O 0.409 0.066 0.511
153 O 0.409 0.725 0.167
154 O 0.415 0.219 0.165
155 O 0.415 0.228 0.832
156 O 0.415 0.877 0.832
157 O 0.416 0.558 0.502
158 O 0.416 0.757 0.894
159 O 0.422 0.093 0.219
160 O 0.425 0.061 0.834
161 O 0.427 0.540 0.765
162 O 0.427 0.740 0.786
163 O 0.429 0.548 0.162
164 O 0.432 0.877 0.223
165 O 0.433 0.398 0.166
166 O 0.433 0.866 0.106
167 O 0.435 0.087 0.113
168 O 0.435 0.888 0.503
169 O 0.437 0.739 0.505
170 O 0.443 0.416 0.438
171 O 0.447 0.214 0.565
172 O 0.466 0.566 0.880
173 O 0.493 0.659 0.998
174 O 0.499 0.973 0.001
175 O 0.504 0.983 0.328
176 O 0.505 0.309 0.673
177 O 0.519 0.293 0.337
178 O 0.520 0.645 0.667
179 O 0.522 0.311 0.054
180 O 0.525 0.980 0.620
181 O 0.533 0.644 0.392
182 O 0.537 0.655 0.272
183 O 0.544 0.313 0.947
184 O 0.555 0.974 0.726
185 O 0.598 0.476 0.225
186 O 0.606 0.817 0.445
187 O 0.616 0.142 0.893
188 O 0.621 0.155 0.774
189 O 0.626 0.477 0.119
190 O 0.630 0.794 0.837
191 O 0.630 0.811 0.552
192 O 0.637 0.139 0.165
193 O 0.655 0.161 0.499
194 O 0.655 0.480 0.827
195 O 0.656 0.471 0.501
196 O 0.656 0.812 0.172
197 O 0.696 0.707 0.066
198 O 0.699 0.069 0.377
199 O 0.711 0.236 0.007
200 O 0.714 0.589 0.612
201 O 0.716 0.912 0.945
202 O 0.717 0.386 0.003
203 O 0.718 0.244 0.282
204 O 0.718 0.897 0.666
205 O 0.725 0.047 0.663
206 O 0.725 0.364 0.606
207 O 0.729 0.375 0.723
208 O 0.729 0.563 0.334
209 O 0.730 0.041 0.262
210 O 0.733 0.378 0.331
211 O 0.735 0.594 0.719
212 O 0.735 0.730 0.332
213 O 0.738 0.256 0.390
214 O 0.738 0.921 0.063
215 O 0.739 0.563 0.009
216 O 0.743 0.057 0.003
217 O 0.745 0.721 0.664
218 O 0.746 0.700 0.948
219 O 0.748 0.223 0.667
220 O 0.759 0.912 0.332
221 O 0.899 0.904 0.831
222 O 0.908 0.377 0.832
223 O 0.909 0.228 0.167
224 O 0.913 0.567 0.501
225 O 0.916 0.591 0.217
226 O 0.916 0.716 0.162
227 O 0.917 0.708 0.443
228 O 0.918 0.042 0.770
229 O 0.918 0.370 0.106
230 O 0.920 0.725 0.835
231 O 0.924 0.051 0.161
232 O 0.924 0.240 0.500
233 O 0.924 0.901 0.170
234 O 0.927 0.063 0.505
235 O 0.927 0.923 0.563
236 O 0.932 0.258 0.893
237 O 0.932 0.561 0.836
238 O 0.933 0.376 0.225
239 O 0.933 0.710 0.562
240 O 0.934 0.918 0.444
241 O 0.937 0.049 0.888
242 O 0.940 0.241 0.786
243 O 0.940 0.584 0.110
244 O 0.946 0.390 0.503
245 O 0.992 0.470 0.001
246 O 0.997 0.817 0.668

Calculated values
Magnetic moment ... 0.000 μB per atom
Volume ... 1154.37 Å³/f.u.
Raw total energy ... -6.480 eV/atom
SG ... No. 1
Crystal system ... triclinic
Formation energy from the elements ... -2.59 eV per atom